a | ## MgV2O4 (PBE+U)

Data for a relaxed structure of MgV2O4.

abc: 6.0601 6.0601 14.8488
angles: 90.00 90.00 120.00
Sites, in units of the cell vectors:
Mg  0.6667  0.3333  0.9546
Mg  0.0000  0.0000  0.6205
Mg  0.3333  0.6667  0.6650
Mg  0.3333  0.6667  0.2925
Mg  0.0000  0.0000  0.9979
Mg  0.0000  0.0000  0.3769
V  0.1642  0.8358  0.8335
V  0.1642  0.3284  0.8335
V  0.4984  0.5016  0.5005
V  0.6716  0.8358  0.8335
V  0.4984  0.9967  0.5005
V  0.6667  0.3333  0.3355
V  0.6667  0.3333  0.7108
V  0.8325  0.1675  0.1670
V  0.0033  0.5016  0.5005
V  0.8325  0.6649  0.1670
V  0.3351  0.1675  0.1670
V  0.3333  0.6667  0.0433
O  0.8451  0.1549  0.9118
O  0.0000  0.0000  0.7586
O  0.8451  0.6903  0.9118
O  0.3097  0.1549  0.9118
O  0.1786  0.8214  0.5761
O  0.0199  0.5099  0.7552
O  0.3333  0.6667  0.4252
O  0.4901  0.9801  0.7552
O  0.3333  0.6667  0.9089
O  0.1786  0.3572  0.5761
O  0.6428  0.8214  0.5761
O  0.4901  0.5099  0.7552
O  0.5132  0.4868  0.2467
O  0.3588  0.1794  0.4204
O  0.8206  0.6412  0.4204
O  0.6667  0.3333  0.0932
O  0.6667  0.3333  0.5784
O  0.5132  0.0264  0.2467
O  0.9736  0.4868  0.2467
O  0.8206  0.1794  0.4204
O  0.6835  0.8417  0.0884
O  0.1583  0.3165  0.0884
O  0.0000  0.0000  0.2394
O  0.1583  0.8417  0.0884

**V**: 472 Å³/cell
**Total magnetic moment**: 24.00 μB per cell

b | ## MgV2O4 (PBE+U)

Data for a relaxed structure of MgV2O4.

abc: 6.0539 6.0539 20.0355
angles: 81.29 81.29 60.14
Sites, in units of the cell vectors:
Mg  0.6533  0.6533  0.0305
Mg  0.1232  0.1232  0.1255
Mg  0.9026  0.9026  0.2817
Mg  0.3747  0.3747  0.3756
Mg  0.6251  0.6251  0.6246
Mg  0.4998  0.4998  0.5002
Mg  0.8738  0.8738  0.8742
Mg  0.7498  0.7498  0.7491
V  0.6304  0.1229  0.1251
V  0.2512  0.2512  0.2522
V  0.1229  0.6304  0.1251
V  0.1529  0.1529  0.5331
V  0.8775  0.3734  0.3750
V  0.5969  0.5969  0.2190
V  0.4027  0.4027  0.7819
V  0.3734  0.8775  0.3750
V  0.1249  0.6254  0.6245
V  0.8486  0.8486  0.4664
V  0.6254  0.1249  0.6245
V  0.8745  0.3777  0.8746
V  0.3777  0.8745  0.8746
V  0.0971  0.0971  0.7170
V  0.9992  0.9992  0.0022
V  0.3463  0.3463  0.9697
O  0.2829  0.8187  0.0643
O  0.9370  0.9370  0.1809
O  0.8187  0.2829  0.0643
O  0.8214  0.8214  0.0650
O  0.4311  0.4311  0.1856
O  0.5314  0.0704  0.3143
O  0.4327  0.9629  0.1862
O  0.1872  0.1872  0.4343
O  0.0704  0.5314  0.3143
O  0.3126  0.3126  0.0680
O  0.0724  0.0724  0.3164
O  0.9629  0.4327  0.1862
O  0.7911  0.3181  0.5652
O  0.6818  0.6818  0.4331
O  0.6855  0.2075  0.4342
O  0.4336  0.4336  0.6817
O  0.3181  0.7911  0.5652
O  0.5631  0.5631  0.3169
O  0.3198  0.3198  0.5653
O  0.2075  0.6855  0.4342
O  0.9305  0.9305  0.6847
O  0.0436  0.5621  0.8154
O  0.9325  0.4576  0.6847
O  0.6869  0.6869  0.9292
O  0.5621  0.0436  0.8154
O  0.8165  0.8165  0.5675
O  0.5679  0.5679  0.8150
O  0.4576  0.9325  0.6847
O  0.1799  0.1799  0.9363
O  0.1833  0.7117  0.9363
O  0.0625  0.0625  0.8177
O  0.7117  0.1833  0.9363

**V**: 627 Å³/cell
**Total magnetic moment**: 0.00 μB per cell

Name the least stable of them. b.